{
  "formula": "K3H2S2NO7",
  "functional": "GGA-PBE",
  "state": "relaxed",
  "lattice": [[6.819, 0.000, 0.000], [-1.846, 7.840, 0.000], [-0.128, -1.153, 8.138]],
  "species": ["K", "O", "O", "O", "O", "H", "O", "S", "K", "O", "K", "K", "O", "O", "O", "K", "H", "N", "K", "S", "H", "O", "O", "O", "O", "N", "S", "H", "S", "O"],
  "frac_coords": [[0.801, 0.656, 0.936], [0.886, 0.893, 0.209], [0.479, 0.694, 0.732], [0.705, 0.042, 0.411], [0.236, 0.598, 0.389], [0.219, 0.683, 0.481], [0.145, 0.542, 0.802], [0.849, 0.062, 0.277], [0.313, 0.945, 0.241], [0.295, 0.958, 0.589], [0.668, 0.674, 0.423], [0.332, 0.326, 0.577], [0.521, 0.306, 0.268], [0.600, 0.318, 0.980], [0.041, 0.186, 0.338], [0.687, 0.055, 0.759], [0.781, 0.317, 0.519], [0.751, 0.127, 0.123], [0.199, 0.344, 0.064], [0.151, 0.938, 0.723], [0.100, 0.545, 0.340], [0.959, 0.814, 0.662], [0.764, 0.402, 0.611], [0.114, 0.107, 0.791], [0.855, 0.458, 0.198], [0.249, 0.873, 0.877], [0.681, 0.307, 0.146], [0.900, 0.455, 0.660], [0.319, 0.693, 0.854], [0.400, 0.682, 0.020]],
  "total_magnetization_mub_per_fu": 0.00,
  "final_energy_ev_per_atom": -5.53,
  "ef_ev_per_atom": -1.760
}


{
  "formula": "K3Si6H6N11",
  "functional": "GGA-PBE",
  "state": "relaxed",
  "lattice": [[-9.155, 3.976, -4.402], [-5.928, -6.440, 6.510], [-0.226, 7.856, 7.566]],
  "species": ["H", "H", "H", "Si", "N", "K", "N", "N", "Si", "H", "Si", "H", "Si", "H", "Si", "H", "N", "N", "H", "K", "K", "N", "N", "N", "N", "N", "K", "Si", "Si", "N", "Si", "K", "Si", "H", "N", "N", "Si", "Si", "H", "N", "K", "N", "H", "K", "H", "N", "N", "K", "Si", "Si", "H", "H", "K", "H", "H", "Si", "N", "N", "N", "N", "K", "N", "N", "N", "N", "N", "N", "N", "Si", "N", "N", "Si", "Si", "Si", "Si", "K", "N", "N", "Si", "N", "N", "H", "N", "H", "N", "H", "N", "N", "H", "N", "N", "N", "H", "Si", "Si", "K", "N", "N", "N", "H", "H", "Si", "H", "Si"],
  "frac_coords": [[0.371, 0.814, 0.454], [0.379, 0.296, 0.936], [0.621, 0.796, 0.564], [0.089, 0.236, 0.315], [0.132, 0.279, 0.970], [0.542, 0.042, 0.458], [0.715, 0.035, 0.875], [0.530, 0.868, 0.779], [0.565, 0.014, 0.839], [0.796, 0.564, 0.621], [0.014, 0.839, 0.565], [0.954, 0.129, 0.186], [0.911, 0.736, 0.185], [0.871, 0.686, 0.546], [0.236, 0.315, 0.089], [0.546, 0.871, 0.686], [0.779, 0.530, 0.868], [0.529, 0.118, 0.720], [0.296, 0.936, 0.379], [0.458, 0.542, 0.042], [0.708, 0.208, 0.292], [0.718, 0.282, 0.782], [0.965, 0.375, 0.785], [0.618, 0.780, 0.471], [0.721, 0.470, 0.368], [0.625, 0.285, 0.535], [0.875, 0.125, 0.625], [0.514, 0.661, 0.435], [0.339, 0.935, 0.986], [0.032, 0.968, 0.468], [0.736, 0.185, 0.911], [0.042, 0.458, 0.542], [0.065, 0.486, 0.161], [0.686, 0.546, 0.871], [0.720, 0.529, 0.118], [0.368, 0.721, 0.470], [0.839, 0.565, 0.014], [0.486, 0.161, 0.065], [0.436, 0.121, 0.704], [0.971, 0.882, 0.220], [0.292, 0.708, 0.208], [0.279, 0.970, 0.132], [0.186, 0.954, 0.129], [0.625, 0.875, 0.125], [0.454, 0.371, 0.814], [0.465, 0.125, 0.215], [0.125, 0.215, 0.465], [0.125, 0.625, 0.875], [0.161, 0.065, 0.486], [0.315, 0.089, 0.236], [0.121, 0.704, 0.436], [0.936, 0.379, 0.296], [0.208, 0.292, 0.708], [0.704, 0.436, 0.121], [0.879, 0.204, 0.064], [0.764, 0.815, 0.411], [0.030, 0.632, 0.221], [0.285, 0.535, 0.625], [0.471, 0.618, 0.780], [0.968, 0.468, 0.032], [0.958, 0.958, 0.958], [0.215, 0.465, 0.125], [0.782, 0.718, 0.282], [0.868, 0.779, 0.530], [0.282, 0.782, 0.718], [0.035, 0.875, 0.715], [0.785, 0.965, 0.375], [0.382, 0.280, 0.029], [0.685, 0.589, 0.264], [0.220, 0.971, 0.882], [0.535, 0.625, 0.285], [0.815, 0.411, 0.764], [0.435, 0.514, 0.661], [0.185, 0.911, 0.736], [0.935, 0.986, 0.339], [0.375, 0.375, 0.375], [0.970, 0.132, 0.279], [0.632, 0.221, 0.030], [0.411, 0.764, 0.815], [0.218, 0.218, 0.218], [0.375, 0.785, 0.965], [0.629, 0.314, 0.046], [0.029, 0.382, 0.280], [0.129, 0.186, 0.954], [0.532, 0.532, 0.532], [0.046, 0.629, 0.314], [0.221, 0.030, 0.632], [0.875, 0.715, 0.035], [0.814, 0.454, 0.371], [0.118, 0.720, 0.529], [0.468, 0.032, 0.968], [0.470, 0.368, 0.721], [0.064, 0.879, 0.204], [0.264, 0.685, 0.589], [0.986, 0.339, 0.935], [0.792, 0.792, 0.792], [0.280, 0.029, 0.382], [0.780, 0.471, 0.618], [0.882, 0.220, 0.971], [0.314, 0.046, 0.629], [0.564, 0.621, 0.796], [0.589, 0.264, 0.685], [0.204, 0.064, 0.879], [0.661, 0.435, 0.514]],
  "total_magnetization_mub_per_fu": 0.00,
  "final_energy_ev_per_atom": -6.49,
  "ef_ev_per_atom": -0.948
}


{
  "formula": "K2ZrH12N6",
  "functional": "GGA-PBE",
  "state": "relaxed",
  "lattice": [[-3.446, -5.969, 0.000], [-6.892, 0.000, 0.000], [-3.446, -1.990, -11.451]],
  "species": ["K", "H", "N", "H", "N", "N", "H", "H", "H", "H", "Zr", "H", "K", "H", "H", "N", "H", "H", "N", "H", "H", "H", "H", "H", "H", "N", "N", "H", "K", "H", "H", "H", "H", "H", "N", "Zr", "H", "N", "N", "N", "N", "K"],
  "frac_coords": [[0.866, 0.866, 0.403], [0.651, 0.087, 0.073], [0.189, 0.092, 0.136], [0.349, 0.913, 0.927], [0.584, 0.189, 0.136], [0.416, 0.811, 0.864], [0.189, 0.651, 0.073], [0.720, 0.178, 0.159], [0.178, 0.943, 0.159], [0.087, 0.189, 0.073], [0.250, 0.250, 0.250], [0.689, 0.587, 0.573], [0.366, 0.366, 0.903], [0.678, 0.220, 0.659], [0.443, 0.678, 0.659], [0.084, 0.592, 0.636], [0.557, 0.322, 0.341], [0.280, 0.822, 0.841], [0.689, 0.084, 0.636], [0.151, 0.689, 0.573], [0.322, 0.780, 0.341], [0.220, 0.443, 0.659], [0.057, 0.280, 0.841], [0.311, 0.413, 0.427], [0.413, 0.849, 0.427], [0.311, 0.916, 0.364], [0.408, 0.311, 0.364], [0.780, 0.557, 0.341], [0.634, 0.634, 0.097], [0.849, 0.311, 0.427], [0.811, 0.349, 0.927], [0.822, 0.057, 0.841], [0.587, 0.151, 0.573], [0.913, 0.811, 0.927], [0.092, 0.584, 0.136], [0.750, 0.750, 0.750], [0.943, 0.720, 0.159], [0.811, 0.908, 0.864], [0.916, 0.408, 0.364], [0.908, 0.416, 0.864], [0.592, 0.689, 0.636], [0.134, 0.134, 0.597]],
  "total_magnetization_mub_per_fu": 0.00,
  "final_energy_ev_per_atom": -5.29,
  "ef_ev_per_atom": -0.557
}


{
  "formula": "K3NaH4",
  "functional": "GGA-PBE",
  "state": "relaxed",
  "lattice": [[-3.489, 3.093, 2.962], [1.433, -2.757, 4.567], [4.036, 3.653, 0.939]],
  "species": ["H", "Na", "K", "H", "K", "H", "H", "K"],
  "frac_coords": [[0.000, 0.500, 0.500], [0.500, 0.500, 0.500], [0.500, 0.000, 0.000], [0.500, 0.500, 0.000], [0.000, 0.000, 0.500], [0.000, 0.000, 0.000], [0.500, 0.000, 0.500], [0.000, 0.500, 0.000]],
  "total_magnetization_mub_per_fu": 0.00,
  "final_energy_ev_per_atom": -2.43,
  "ef_ev_per_atom": -0.241
}


{
  "formula": "KNa3H4",
  "functional": "GGA-PBE",
  "state": "relaxed",
  "lattice": [[5.119, 0.000, 0.000], [0.000, 5.119, 0.000], [0.000, 0.000, 5.119]],
  "species": ["K", "Na", "Na", "H", "H", "H", "H", "Na"],
  "frac_coords": [[0.500, 0.500, 0.500], [0.000, 0.500, 0.000], [0.000, 0.000, 0.500], [0.000, 0.000, 0.000], [0.500, 0.000, 0.500], [0.000, 0.500, 0.500], [0.500, 0.500, 0.000], [0.500, 0.000, 0.000]],
  "total_magnetization_mub_per_fu": 0.00,
  "final_energy_ev_per_atom": -2.47,
  "ef_ev_per_atom": -0.226
}


{
  "formula": "KNaP2H2O7",
  "functional": "GGA-PBE",
  "state": "relaxed",
  "lattice": [[-1.963, 6.244, -4.629], [-7.291, -3.176, -1.176], [-0.531, 5.804, 9.891]],
  "species": ["H", "P", "O", "O", "O", "O", "H", "O", "O", "O", "O", "O", "O", "O", "O", "O", "K", "Na", "O", "O", "H", "H", "O", "K", "O", "H", "O", "P", "Na", "Na", "O", "P", "H", "P", "O", "O", "O", "P", "O", "P", "O", "O", "K", "Na", "K", "H", "P", "O", "H", "O", "P", "O"],
  "frac_coords": [[0.976, 0.032, 0.610], [0.148, 0.553, 0.714], [0.579, 0.078, 0.191], [0.491, 0.868, 0.586], [0.467, 0.368, 0.311], [0.465, 0.659, 0.271], [0.024, 0.968, 0.390], [0.834, 0.256, 0.310], [0.145, 0.971, 0.414], [0.509, 0.132, 0.414], [0.845, 0.058, 0.089], [0.604, 0.619, 0.910], [0.006, 0.450, 0.221], [0.166, 0.744, 0.690], [0.834, 0.578, 0.406], [0.722, 0.908, 0.768], [0.661, 0.235, 0.937], [0.668, 0.851, 0.420], [0.988, 0.300, 0.907], [0.166, 0.422, 0.594], [0.042, 0.217, 0.842], [0.809, 0.996, 0.654], [0.535, 0.341, 0.729], [0.223, 0.647, 0.436], [0.278, 0.092, 0.232], [0.990, 0.407, 0.881], [0.171, 0.067, 0.726], [0.551, 0.841, 0.707], [0.124, 0.210, 0.077], [0.876, 0.790, 0.923], [0.421, 0.922, 0.809], [0.492, 0.471, 0.209], [0.010, 0.593, 0.119], [0.508, 0.529, 0.791], [0.396, 0.381, 0.090], [0.855, 0.029, 0.586], [0.829, 0.933, 0.274], [0.216, 0.931, 0.789], [0.690, 0.443, 0.188], [0.784, 0.069, 0.211], [0.994, 0.550, 0.779], [0.533, 0.632, 0.689], [0.777, 0.353, 0.564], [0.332, 0.149, 0.580], [0.339, 0.765, 0.063], [0.958, 0.783, 0.158], [0.852, 0.447, 0.286], [0.310, 0.557, 0.812], [0.191, 0.004, 0.346], [0.012, 0.700, 0.093], [0.449, 0.159, 0.293], [0.155, 0.942, 0.911]],
  "total_magnetization_mub_per_fu": 0.00,
  "final_energy_ev_per_atom": -6.18,
  "ef_ev_per_atom": -2.343
}


{
  "formula": "K3Na3TeP6H6O24",
  "functional": "GGA-PBE",
  "state": "relaxed",
  "lattice": [[5.568, 9.195, 0.000], [-5.568, 9.195, 0.000], [0.000, 5.956, 10.934]],
  "species": ["O", "O", "O", "O", "Na", "K", "Na", "P", "O", "O", "O", "O", "P", "Na", "O", "H", "O", "P", "O", "P", "O", "K", "H", "K", "K", "O", "O", "O", "H", "O", "Na", "P", "O", "P", "Na", "Te", "O", "H", "O", "O", "P", "H", "O", "H", "O", "O", "O", "H", "O", "P", "O", "O", "O", "K", "O", "H", "O", "P", "K", "O", "O", "O", "P", "O", "P", "O", "H", "O", "O", "O", "H", "H", "O", "Na", "O", "O", "O", "O", "Te", "O", "H", "O", "O", "O", "O", "P"],
  "frac_coords": [[0.531, 0.370, 0.384], [0.866, 0.655, 0.096], [0.510, 0.066, 0.125], [0.859, 0.482, 0.938], [0.941, 0.059, 0.250], [0.261, 0.149, 0.752], [0.456, 0.750, 0.748], [0.334, 0.988, 0.482], [0.619, 0.628, 0.891], [0.372, 0.381, 0.609], [0.975, 0.216, 0.939], [0.289, 0.648, 0.056], [0.012, 0.666, 0.018], [0.250, 0.544, 0.752], [0.655, 0.866, 0.596], [0.770, 0.813, 0.007], [0.134, 0.345, 0.904], [0.176, 0.816, 0.018], [0.091, 0.263, 0.557], [0.312, 0.506, 0.020], [0.518, 0.141, 0.562], [0.149, 0.261, 0.252], [0.983, 0.778, 0.434], [0.739, 0.851, 0.248], [0.851, 0.739, 0.748], [0.345, 0.134, 0.404], [0.648, 0.289, 0.556], [0.469, 0.630, 0.616], [0.489, 0.172, 0.091], [0.630, 0.469, 0.116], [0.750, 0.456, 0.248], [0.988, 0.334, 0.982], [0.105, 0.843, 0.398], [0.184, 0.824, 0.482], [0.544, 0.250, 0.252], [0.500, 0.000, 0.000], [0.497, 0.176, 0.888], [0.222, 0.017, 0.066], [0.290, 0.958, 0.619], [0.958, 0.290, 0.119], [0.688, 0.494, 0.980], [0.511, 0.828, 0.909], [0.370, 0.531, 0.884], [0.813, 0.770, 0.507], [0.909, 0.737, 0.443], [0.710, 0.042, 0.381], [0.628, 0.619, 0.391], [0.230, 0.187, 0.993], [0.783, 0.121, 0.118], [0.824, 0.184, 0.982], [0.121, 0.783, 0.618], [0.503, 0.824, 0.112], [0.176, 0.497, 0.388], [0.636, 0.364, 0.750], [0.824, 0.503, 0.612], [0.172, 0.489, 0.591], [0.895, 0.157, 0.602], [0.506, 0.312, 0.520], [0.364, 0.636, 0.250], [0.482, 0.859, 0.438], [0.352, 0.711, 0.444], [0.066, 0.510, 0.625], [0.494, 0.688, 0.480], [0.157, 0.895, 0.102], [0.666, 0.012, 0.518], [0.843, 0.105, 0.898], [0.187, 0.230, 0.493], [0.784, 0.025, 0.561], [0.381, 0.372, 0.109], [0.042, 0.710, 0.881], [0.017, 0.222, 0.566], [0.828, 0.511, 0.409], [0.711, 0.352, 0.944], [0.059, 0.941, 0.750], [0.737, 0.909, 0.943], [0.141, 0.518, 0.062], [0.879, 0.217, 0.382], [0.263, 0.091, 0.057], [0.000, 0.500, 0.500], [0.216, 0.975, 0.439], [0.778, 0.983, 0.934], [0.217, 0.879, 0.882], [0.025, 0.784, 0.061], [0.490, 0.934, 0.875], [0.934, 0.490, 0.375], [0.816, 0.176, 0.518]],
  "final_energy_ev_per_atom": -6.06,
  "ef_ev_per_atom": -2.207
}